# 1
The following is a DFT calculation (r2SCAN) of crystalline Nb2F5 at its relaxed geometry.

calculated formation energy: -1956 kJ/mol of formula units

a b c (Å): 8.2464 8.2464 8.2464
angles (deg): 90.00 90.00 90.00
Space group Im-3m (No. 229)
One atom of each set of equivalent atoms:
Nb1 0.0000 0.0000 0.2410 x12
F1 0.0000 0.0000 0.5000 x6
F2 0.0000 0.2527 0.2527 x24

# 2
The following is a DFT calculation (r2SCAN) of crystalline NbF5 at its relaxed geometry.

calculated formation energy: -1829 kJ/mol of formula units

a b c (Å): 9.5102 14.3781 4.9414
angles (deg): 90.00 98.57 90.00
Space group C2/m (No. 12)
One atom of each set of equivalent atoms:
Nb1 0.0000 0.2051 0.0000 x4
Nb2 0.2374 0.5000 0.2581 x4
F1 0.1129 0.1861 0.3434 x8
F2 0.1220 0.2904 0.8730 x8
F3 0.1235 0.0963 0.8799 x8
F4 0.1273 0.4021 0.3538 x8
F5 0.1276 0.0000 0.4227 x4
F6 0.1532 0.5000 0.8847 x4

Among the records above, which one has the lowest calculated formation energy? Nb2F5

What is the calculated formation energy in the first record? -1956 kJ/mol of formula units